Record 1
Computed, not measured: an optimized crystal structure of Tb3InN at the meta-GGA r2SCAN level of DFT.

```
Tb3InN
1.0
4.8258 0.0000 0.0000
0.0000 4.8258 0.0000
0.0000 0.0000 4.8258
Tb In N
3 1 1
Direct
0.0000 0.0000 0.5000
0.0000 0.5000 0.0000
0.5000 0.0000 0.0000
0.5000 0.5000 0.5000
0.0000 0.0000 0.0000
```

Computed properties:
Magnetic moment in Bohr magnetons per cell: 0.00
E_form in eV/atom: -1.19
Crystal system: cubic
Space-group type: Pm-3m, No. 221

Record 2
Computed, not measured: an optimized crystal structure of BaRh3Pb6 at the meta-GGA r2SCAN level of DFT.

```
BaRh3Pb6
1.0
4.1561 -13.6574 0.0000
4.1561 13.6574 0.0000
0.0000 0.0000 4.5649
Ba Rh Pb
2 6 12
Direct
0.0896 0.9104 0.7500
0.9104 0.0896 0.2500
0.0936 0.5279 0.2500
0.4624 0.5376 0.2500
0.4721 0.9064 0.2500
0.5279 0.0936 0.7500
0.5376 0.4624 0.7500
0.9064 0.4721 0.7500
0.0269 0.3711 0.7500
0.2491 0.7509 0.7500
0.2538 0.3444 0.7500
0.3444 0.2538 0.2500
0.3650 0.6350 0.2500
0.3711 0.0269 0.2500
0.6289 0.9731 0.7500
0.6350 0.3650 0.7500
0.6556 0.7462 0.7500
0.7462 0.6556 0.2500
0.7509 0.2491 0.2500
0.9731 0.6289 0.2500
```

Computed properties:
Magnetic moment in Bohr magnetons per cell: 0.00
E_form in eV/atom: -0.31
Crystal system: orthorhombic
Space-group type: Cmcm, No. 63

Record 3
Computed, not measured: an optimized crystal structure of EuSbO4 at the meta-GGA r2SCAN level of DFT.

```
EuSbO4
1.0
7.6618 0.0000 0.0000
0.0000 5.4219 0.0000
-1.2802 0.0000 7.4721
Eu Sb O
4 4 16
Direct
0.1449 0.2279 0.3963
0.1449 0.2721 0.8963
0.8551 0.7279 0.1037
0.8551 0.7721 0.6037
0.3375 0.7308 0.1962
0.3375 0.7692 0.6962
0.6625 0.2308 0.3038
0.6625 0.2692 0.8038
0.1213 0.5181 0.1699
0.1213 0.9819 0.6699
0.1673 0.5024 0.6281
0.1673 0.9976 0.1281
0.3321 0.6346 0.9419
0.3321 0.8654 0.4419
0.4398 0.0875 0.8038
0.4398 0.4125 0.3038
0.5602 0.5875 0.6962
0.5602 0.9125 0.1962
0.6679 0.1346 0.5581
0.6679 0.3654 0.0581
0.8327 0.0024 0.8719
0.8327 0.4976 0.3719
0.8787 0.0181 0.3301
0.8787 0.4819 0.8301
```

Computed properties:
Magnetic moment in Bohr magnetons per cell: 24.00
E_form in eV/atom: -2.32
Crystal system: monoclinic
Space-group type: P2_1/c, No. 14

Record 4
Computed, not measured: an optimized crystal structure of ReS2 at the meta-GGA r2SCAN level of DFT.

```
ReS2
1.0
6.3995 0.0000 0.0000
3.1426 5.6936 0.0000
0.1306 3.3696 12.8315
Re S
8 16
Direct
0.1865 0.0627 0.2466
0.2396 0.9642 0.7506
0.2621 0.5389 0.7487
0.3118 0.4343 0.2541
0.6882 0.5657 0.7459
0.7379 0.4611 0.2513
0.7604 0.0358 0.2494
0.8135 0.9373 0.7534
0.0928 0.2925 0.8420
0.0995 0.2804 0.3717
0.1302 0.7534 0.3555
0.1407 0.7318 0.8850
0.3610 0.7711 0.6143
0.3681 0.7437 0.1451
0.3988 0.2167 0.1290
0.4089 0.2105 0.6573
0.5911 0.7895 0.3427
0.6012 0.7833 0.8710
0.6319 0.2563 0.8549
0.6390 0.2289 0.3857
0.8593 0.2682 0.1150
0.8698 0.2466 0.6445
0.9005 0.7196 0.6283
0.9072 0.7075 0.1580
```

Computed properties:
Magnetic moment in Bohr magnetons per cell: 0.00
E_form in eV/atom: -0.64
Crystal system: triclinic
Space-group type: P-1, No. 2

Record 5
Computed, not measured: an optimized crystal structure of LaMgI5 at the meta-GGA r2SCAN level of DFT.

```
LaMgI5
1.0
2.1718 -7.4640 0.0000
2.1718 7.4640 0.0000
0.0000 0.0000 17.4403
La Mg I
2 2 10
Direct
0.0153 0.9847 0.7500
0.9847 0.0153 0.2500
0.5000 0.5000 0.0000
0.5000 0.5000 0.5000
0.1096 0.8904 0.5654
0.1096 0.8904 0.9346
0.3310 0.6690 0.2500
0.3993 0.6007 0.6438
0.3993 0.6007 0.8562
0.6007 0.3993 0.1438
0.6007 0.3993 0.3562
0.6690 0.3310 0.7500
0.8904 0.1096 0.0654
0.8904 0.1096 0.4346
```

Computed properties:
Magnetic moment in Bohr magnetons per cell: 0.00
E_form in eV/atom: -1.53
Crystal system: orthorhombic
ΔE to the lowest computed polymorph in meV per atom: 0
Space-group type: Cmcm, No. 63

Record 6
Computed, not measured: an optimized crystal structure of ErNbRu2 at the meta-GGA r2SCAN level of DFT.

```
ErNbRu2
1.0
0.0000 3.2484 3.2484
3.2484 0.0000 3.2484
3.2484 3.2484 0.0000
Er Nb Ru
1 1 2
Direct
0.0000 0.0000 0.0000
0.5000 0.5000 0.5000
0.2500 0.2500 0.2500
0.7500 0.7500 0.7500
```

Computed properties:
Magnetic moment in Bohr magnetons per cell: 0.00
E_form in eV/atom: -0.41
Crystal system: cubic
Space-group type: Fm-3m, No. 225